No. 1
! PuPt5 (r²SCAN, relaxed); values from VASP
&SYSTEM
  ibrav = 0, nat = 6, ntyp = 2
/
ATOMIC_SPECIES
Pu 244.00 Pu.upf
Pt 195.08 Pt.upf
CELL_PARAMETERS angstrom
0.000 3.746 3.746
3.746 0.000 3.746
3.746 3.746 0.000
ATOMIC_POSITIONS angstrom
Pu 0.000 0.000 0.000
Pt 4.681 2.812 2.812
Pt 1.873 1.873 1.873
Pt 2.812 4.681 2.812
Pt 2.812 2.812 4.681
Pt 4.681 4.681 4.681
! - total magnetization (μB/f.u.) = 4.2
! - total energy (eV/f.u.) = -347.45
! - V (Å³ per atom) = 17.53
! - ΔE_f (eV per atom) = -0.609
! - symmetry = F-43m (216)



No. 2
! PuPt5 (r²SCAN, relaxed); values from VASP
&SYSTEM
  ibrav = 0, nat = 6, ntyp = 2
/
ATOMIC_SPECIES
Pu 244.00 Pu.upf
Pt 195.08 Pt.upf
CELL_PARAMETERS angstrom
2.681 -4.636 0.000
2.681 4.636 0.000
0.000 0.000 4.411
ATOMIC_POSITIONS angstrom
Pu 0.000 0.000 0.000
Pt 1.341 2.318 2.205
Pt 2.681 1.548 0.000
Pt 1.341 -2.318 2.205
Pt 2.681 0.000 2.205
Pt 2.681 -1.548 0.000
! - total magnetization (μB/f.u.) = 4.9
! - total energy (eV/f.u.) = -348.04
! - V (Å³ per atom) = 18.28
! - ΔE_f (eV per atom) = -0.708
! - symmetry = Cmmm (65)